[1]
Entry from Materials Project: a geometry-optimized Mg14NiSnO16 structure (PBE+U).

```
data_Mg14NiSnO16
_chemical_formula_sum 'Mg14 Ni1 Sn1 O16'
_symmetry_space_group_name_H-M 'P m m m'
_symmetry_Int_Tables_number 47
_symmetry_space_group_name_Hall '-P 2 2'
_cell_length_a 4.344
_cell_length_b 8.664
_cell_length_c 8.665
_cell_angle_alpha 90.00
_cell_angle_beta 90.00
_cell_angle_gamma 90.00
loop_
_atom_site_label
_atom_site_fract_x
_atom_site_fract_y
_atom_site_fract_z
Mg1 0.000 0.000 0.000
Mg2 0.000 0.000 0.500
Mg3 0.000 0.246 0.243
Mg4 0.500 0.000 0.247
Mg5 0.500 0.240 0.500
Mg6 0.500 0.251 0.000
Mg7 0.500 0.500 0.236
Ni1 0.000 0.500 0.000
Sn1 0.000 0.500 0.500
O1 0.000 0.000 0.248
O2 0.000 0.232 0.500
O3 0.000 0.241 0.000
O4 0.000 0.500 0.237
O5 0.500 0.000 0.000
O6 0.500 0.000 0.500
O7 0.500 0.251 0.250
O8 0.500 0.500 0.000
O9 0.500 0.500 0.500
```

Calculated values
energy of formation	-2739	meV per atom

***

[2]
Entry from Materials Project: a geometry-optimized MgNiSnP2O9 structure (PBE+U).

```
data_MgNiSnP2O9
_chemical_formula_sum 'Mg4 Ni4 Sn4 P8 O36'
_symmetry_space_group_name_H-M 'P n m a'
_symmetry_Int_Tables_number 62
_symmetry_space_group_name_Hall '-P 2ac 2n'
_cell_length_a 14.351
_cell_length_b 6.418
_cell_length_c 7.710
_cell_angle_alpha 90.00
_cell_angle_beta 90.00
_cell_angle_gamma 90.00
loop_
_atom_site_label
_atom_site_fract_x
_atom_site_fract_y
_atom_site_fract_z
Mg1 0.191 0.250 0.033
Ni1 0.000 0.000 0.000
Sn1 0.117 0.250 0.644
P1 0.071 0.750 0.647
P2 0.190 0.750 0.123
O1 0.000 0.250 0.503
O2 0.024 0.750 0.824
O3 0.067 0.250 0.885
O4 0.133 0.545 0.109
O5 0.140 0.565 0.625
O6 0.232 0.250 0.479
O7 0.248 0.750 0.296
```

Calculated values
energy of formation	-2444	meV per atom

***

[3]
Entry from Materials Project: a geometry-optimized Li4Mn2Fe3Co3O16 structure (PBE+U).

```
data_Li4Mn2Fe3Co3O16
_chemical_formula_sum 'Li4 Mn2 Fe3 Co3 O16'
_symmetry_space_group_name_H-M 'P 1'
_symmetry_Int_Tables_number 1
_symmetry_space_group_name_Hall 'P 1'
_cell_length_a 5.784
_cell_length_b 5.787
_cell_length_c 9.380
_cell_angle_alpha 89.55
_cell_angle_beta 89.28
_cell_angle_gamma 60.04
loop_
_atom_site_label
_atom_site_fract_x
_atom_site_fract_y
_atom_site_fract_z
Li1 0.000 0.000 0.000
Li2 0.000 0.001 0.501
Li3 0.345 0.332 0.407
Li4 0.673 0.674 0.903
Mn1 0.335 0.345 0.989
Mn2 0.679 0.665 0.491
Fe1 0.177 0.168 0.716
Fe2 0.343 0.836 0.219
Fe3 0.832 0.342 0.219
Co1 0.175 0.661 0.720
Co2 0.665 0.173 0.719
Co3 0.833 0.833 0.219
O1 0.002 0.988 0.810
O2 0.045 0.500 0.849
O3 0.164 0.178 0.102
O4 0.168 0.671 0.103
O5 0.340 0.828 0.601
O6 0.345 0.352 0.616
O7 0.486 0.485 0.841
O8 0.491 0.046 0.850
O9 0.535 0.961 0.353
O10 0.538 0.512 0.352
O11 0.674 0.170 0.106
O12 0.684 0.664 0.112
O13 0.840 0.335 0.603
O14 0.844 0.836 0.607
O15 0.969 0.526 0.344
O16 0.991 0.007 0.312
```

Calculated values
energy of formation	-1689	meV per atom

***

[4]
Entry from Materials Project: a geometry-optimized LiTiFeO4 structure (PBE+U).

```
data_LiTiFeO4
_chemical_formula_sum 'Li4 Ti4 Fe4 O16'
_symmetry_space_group_name_H-M 'P 43 2 2'
_symmetry_Int_Tables_number 95
_symmetry_space_group_name_Hall 'P 4cw 2c'
_cell_length_a 5.990
_cell_length_b 5.990
_cell_length_c 8.336
_cell_angle_alpha 90.00
_cell_angle_beta 90.00
_cell_angle_gamma 90.00
loop_
_atom_site_label
_atom_site_fract_x
_atom_site_fract_y
_atom_site_fract_z
Li1 0.000 0.227 0.000
Ti1 0.221 0.500 0.250
Fe1 0.259 0.259 0.625
O1 0.013 0.266 0.257
O2 0.265 0.485 0.015
```

Calculated values
energy of formation	-2607	meV per atom
relative energy among the computed polymorphs	0.08	eV per formula unit

***

[5]
Entry from Materials Project: a geometry-optimized Rb11Mn8O16 structure (PBE+U).

```
data_Rb11Mn8O16
_chemical_formula_sum 'Rb176 Mn128 O256'
_symmetry_space_group_name_H-M 'F 2 2 2'
_symmetry_Int_Tables_number 22
_symmetry_space_group_name_Hall 'F 2 2'
_cell_length_a 12.440
_cell_length_b 20.347
_cell_length_c 45.592
_cell_angle_alpha 90.00
_cell_angle_beta 90.00
_cell_angle_gamma 90.00
loop_
_atom_site_label
_atom_site_fract_x
_atom_site_fract_y
_atom_site_fract_z
Rb1 0.000 0.158 0.000
Rb2 0.002 0.176 0.912
Rb3 0.003 0.172 0.732
Rb4 0.004 0.166 0.548
Rb5 0.005 0.160 0.181
Rb6 0.007 0.164 0.363
Rb7 0.243 0.088 0.478
Rb8 0.246 0.085 0.294
Rb9 0.247 0.082 0.109
Rb10 0.248 0.076 0.927
Rb11 0.248 0.091 0.660
Rb12 0.250 0.073 0.750
Mn1 0.000 0.000 0.032
Mn2 0.000 0.000 0.093
Mn3 0.000 0.000 0.155
Mn4 0.000 0.000 0.218
Mn5 0.000 0.000 0.281
Mn6 0.000 0.000 0.343
Mn7 0.000 0.000 0.406
Mn8 0.000 0.000 0.469
Mn9 0.250 0.250 0.062
Mn10 0.250 0.250 0.125
Mn11 0.250 0.250 0.187
Mn12 0.250 0.250 0.250
Mn13 0.250 0.250 0.501
Mn14 0.250 0.250 0.563
Mn15 0.250 0.250 0.625
Mn16 0.250 0.250 0.688
Mn17 0.250 0.250 0.750
O1 0.000 0.074 0.500
O2 0.035 0.066 0.686
O3 0.064 0.057 0.873
O4 0.083 0.047 0.060
O5 0.094 0.037 0.247
O6 0.101 0.020 0.625
O7 0.101 0.028 0.435
O8 0.104 0.010 0.813
O9 0.105 0.000 0.000
O10 0.146 0.245 0.843
O11 0.147 0.235 0.031
O12 0.148 0.226 0.220
O13 0.151 0.219 0.409
O14 0.160 0.209 0.596
O15 0.176 0.197 0.783
O16 0.200 0.188 0.970
O17 0.231 0.178 0.157
```

Calculated values
energy of formation	-1765	meV per atom

***

[6]
Entry from Materials Project: a geometry-optimized CoAgO2 structure (PBE+U).

```
data_CoAgO2
_chemical_formula_sum 'Co2 Ag2 O4'
_symmetry_space_group_name_H-M 'P 63/m m c'
_symmetry_Int_Tables_number 194
_symmetry_space_group_name_Hall '-P 6c 2c'
_cell_length_a 2.9020
_cell_length_b 2.9020
_cell_length_c 12.3874
_cell_angle_alpha 90.00
_cell_angle_beta 90.00
_cell_angle_gamma 120.00
loop_
_atom_site_label
_atom_site_fract_x
_atom_site_fract_y
_atom_site_fract_z
Co1 0.0000 0.0000 0.0000
Ag1 0.3333 0.6667 0.2500
O1 0.3333 0.6667 0.0776
```

Calculated values
energy of formation	-1014	meV per atom

***

[7]
Entry from Materials Project: a geometry-optimized KLiW6O18 structure (PBE+U).

```
data_KLiW6O18
_chemical_formula_sum 'K1 Li1 W6 O18'
_symmetry_space_group_name_H-M 'P 1'
_symmetry_Int_Tables_number 1
_symmetry_space_group_name_Hall 'P 1'
_cell_length_a 7.496
_cell_length_b 7.497
_cell_length_c 7.721
_cell_angle_alpha 89.98
_cell_angle_beta 89.99
_cell_angle_gamma 60.32
loop_
_atom_site_label
_atom_site_fract_x
_atom_site_fract_y
_atom_site_fract_z
K1 0.000 0.000 0.000
Li1 0.705 0.704 0.484
W1 0.004 0.490 0.735
W2 0.006 0.505 0.231
W3 0.490 0.004 0.232
W4 0.493 0.510 0.734
W5 0.505 0.006 0.736
W6 0.510 0.493 0.233
O1 0.009 0.495 0.483
O2 0.211 0.213 0.223
O3 0.213 0.573 0.742
O4 0.214 0.211 0.743
O5 0.214 0.574 0.224
O6 0.429 0.785 0.240
O7 0.429 0.786 0.727
O8 0.495 0.009 0.483
O9 0.497 0.497 0.483
O10 0.506 0.506 0.984
O11 0.506 0.990 0.984
O12 0.573 0.213 0.225
O13 0.574 0.214 0.742
O14 0.784 0.784 0.244
O15 0.784 0.784 0.723
O16 0.785 0.429 0.727
O17 0.786 0.428 0.239
O18 0.990 0.506 0.983
```

Calculated values
energy of formation	-2192	meV per atom

***

[8]
Entry from Materials Project: a geometry-optimized Li2Mn7F18 structure (PBE+U).

```
data_Li2Mn7F18
_chemical_formula_sum 'Li2 Mn7 F18'
_symmetry_space_group_name_H-M 'P -1'
_symmetry_Int_Tables_number 2
_symmetry_space_group_name_Hall '-P 1'
_cell_length_a 7.226
_cell_length_b 7.670
_cell_length_c 7.906
_cell_angle_alpha 96.32
_cell_angle_beta 93.26
_cell_angle_gamma 117.02
loop_
_atom_site_label
_atom_site_fract_x
_atom_site_fract_y
_atom_site_fract_z
Li1 0.135 0.150 0.428
Mn1 0.117 0.733 0.126
Mn2 0.283 0.112 0.823
Mn3 0.315 0.605 0.787
Mn4 0.500 0.000 0.500
F1 0.031 0.455 0.684
F2 0.041 0.962 0.202
F3 0.184 0.967 0.551
F4 0.189 0.495 0.995
F5 0.223 0.833 0.893
F6 0.338 0.354 0.698
F7 0.420 0.861 0.248
F8 0.424 0.255 0.071
F9 0.435 0.739 0.599
```

Calculated values
energy of formation	-2878	meV per atom

***

Mass density (computed, g cm⁻³): 3.94, 3.81, 4.51, 3.88, 3.77, 7.31, 6.33, 3.19